1.
VASP calculation (GGA-PBE) on an optimized crystal structure of CsSeO4.

abc: 7.570 8.145 8.756
angles: 90.00 90.00 107.66
Atoms (fractional coordinates):
Cs 0.705 0.212 0.373
Cs 0.795 0.788 0.873
Cs 0.295 0.788 0.627
Cs 0.205 0.212 0.127
Se 0.782 0.741 0.363
Se 0.718 0.259 0.863
Se 0.218 0.259 0.637
Se 0.282 0.741 0.137
O 0.620 0.571 0.281
O 0.880 0.429 0.781
O 0.380 0.429 0.719
O 0.120 0.571 0.219
O 0.867 0.898 0.239
O 0.633 0.102 0.739
O 0.133 0.102 0.761
O 0.367 0.898 0.261
O 0.947 0.653 0.427
O 0.553 0.347 0.927
O 0.053 0.347 0.573
O 0.447 0.653 0.073
O 0.701 0.809 0.520
O 0.799 0.191 0.020
O 0.299 0.191 0.480
O 0.201 0.809 0.980

As for the energy above the most stable polymorph in this dataset: 0.004 eV per atom.

2.
VASP calculation (GGA-PBE) on an optimized crystal structure of Cs3Se2O8.

abc: 6.429 6.429 8.625
angles: 71.41 71.41 60.05
Atoms (fractional coordinates):
Cs 0.000 0.000 0.000
Cs 0.199 0.199 0.388
Cs 0.801 0.801 0.612
Se 0.430 0.430 0.768
Se 0.570 0.570 0.232
O 0.301 0.730 0.689
O 0.699 0.270 0.311
O 0.270 0.699 0.311
O 0.730 0.301 0.689
O 0.387 0.387 0.980
O 0.613 0.613 0.020
O 0.289 0.289 0.741
O 0.711 0.711 0.259

As for the energy above the most stable polymorph in this dataset: 0.000 eV per atom.

3.
VASP calculation (GGA-PBE) on an optimized crystal structure of CsSe2O6.

abc: 6.053 6.268 10.594
angles: 92.10 109.56 93.47
Atoms (fractional coordinates):
Cs 0.874 0.246 0.835
Cs 0.126 0.754 0.165
Se 0.410 0.750 0.825
Se 0.590 0.250 0.175
Se 0.795 0.757 0.492
Se 0.205 0.243 0.508
O 0.696 0.743 0.847
O 0.304 0.257 0.153
O 0.340 0.997 0.851
O 0.660 0.003 0.149
O 0.307 0.558 0.898
O 0.693 0.442 0.102
O 0.750 0.011 0.523
O 0.250 0.989 0.477
O 0.563 0.614 0.386
O 0.437 0.386 0.614
O 0.951 0.630 0.623
O 0.049 0.370 0.377

Its raw total energy is -4.838 eV per atom.

4.
VASP calculation (GGA-PBE) on an optimized crystal structure of Cs3Se2O8.

abc: 6.460 6.460 8.914
angles: 67.20 67.20 60.22
Atoms (fractional coordinates):
Cs 0.002 0.998 0.000
Cs 0.204 0.209 0.381
Cs 0.791 0.796 0.619
Se 0.396 0.416 0.767
Se 0.584 0.604 0.233
O 0.276 0.708 0.308
O 0.711 0.296 0.281
O 0.703 0.710 0.308
O 0.704 0.289 0.719
O 0.292 0.724 0.692
O 0.290 0.297 0.692
O 0.281 0.372 0.977
O 0.628 0.719 0.023

As for the energy above the most stable polymorph in this dataset: 0.005 eV per atom.

5.
VASP calculation (GGA-PBE) on an optimized crystal structure of Cs2Sn4Se9O.

abc: 12.813 12.825 14.110
angles: 90.00 90.00 90.00
Atoms (fractional coordinates):
Cs 0.250 0.434 0.434
Cs 0.250 0.066 0.934
Cs 0.750 0.566 0.566
Cs 0.750 0.934 0.066
Cs 0.825 0.460 0.940
Cs 0.325 0.540 0.060
Cs 0.325 0.960 0.560
Cs 0.825 0.040 0.440
Sn 0.105 0.178 0.236
Sn 0.396 0.321 0.735
Sn 0.605 0.822 0.764
Sn 0.896 0.679 0.265
Sn 0.896 0.821 0.765
Sn 0.605 0.678 0.264
Sn 0.396 0.179 0.235
Sn 0.105 0.322 0.736
Sn 0.912 0.369 0.324
Sn 0.587 0.133 0.824
Sn 0.412 0.631 0.676
Sn 0.087 0.867 0.176
Sn 0.087 0.633 0.676
Sn 0.412 0.869 0.176
Sn 0.587 0.367 0.324
Sn 0.912 0.131 0.824
Se 0.948 0.313 0.155
Se 0.550 0.184 0.654
Se 0.448 0.687 0.845
Se 0.050 0.816 0.346
Se 0.050 0.684 0.846
Se 0.448 0.813 0.345
Se 0.550 0.316 0.154
Se 0.948 0.187 0.655
Se 0.009 0.045 0.125
Se 0.490 0.454 0.624
Se 0.509 0.955 0.875
Se 0.990 0.546 0.376
Se 0.990 0.954 0.876
Se 0.509 0.545 0.375
Se 0.490 0.046 0.124
Se 0.009 0.455 0.625
Se 0.249 0.289 0.155
Se 0.249 0.211 0.655
Se 0.749 0.711 0.845
Se 0.749 0.789 0.345
Se 0.040 0.235 0.403
Se 0.460 0.266 0.904
Se 0.540 0.765 0.597
Se 0.960 0.734 0.096
Se 0.960 0.766 0.596
Se 0.540 0.735 0.097
Se 0.460 0.234 0.404
Se 0.040 0.265 0.903
Se 0.750 0.322 0.424
Se 0.750 0.178 0.924
Se 0.250 0.678 0.576
Se 0.250 0.822 0.076
Se 0.250 0.044 0.303
Se 0.250 0.456 0.803
Se 0.750 0.956 0.697
Se 0.750 0.544 0.197
O 0.255 0.616 0.280
O 0.255 0.884 0.780
O 0.755 0.384 0.720
O 0.755 0.116 0.220

Its raw total energy is -3.771 eV per atom.

6.
VASP calculation (GGA-PBE) on an optimized crystal structure of CsUSe2O8.

abc: 10.403 8.887 13.721
angles: 50.89 90.00 90.00
Atoms (fractional coordinates):
Cs 0.449 0.429 0.714
Cs 0.051 0.429 0.214
Cs 0.551 0.571 0.286
Cs 0.949 0.571 0.786
U 0.208 0.075 0.122
U 0.292 0.075 0.622
U 0.792 0.925 0.878
U 0.708 0.925 0.378
Se 0.549 0.253 0.057
Se 0.951 0.253 0.557
Se 0.451 0.747 0.943
Se 0.049 0.747 0.443
Se 0.873 0.979 0.118
Se 0.627 0.979 0.618
Se 0.127 0.021 0.882
Se 0.373 0.021 0.382
O 0.293 0.844 0.209
O 0.207 0.844 0.709
O 0.707 0.156 0.791
O 0.793 0.156 0.291
O 0.114 0.297 0.047
O 0.386 0.297 0.547
O 0.886 0.703 0.953
O 0.614 0.703 0.453
O 0.324 0.159 0.227
O 0.176 0.159 0.727
O 0.676 0.841 0.773
O 0.824 0.841 0.273
O 0.407 0.239 0.000
O 0.093 0.239 0.500
O 0.593 0.761 0.000
O 0.907 0.761 0.500
O 0.031 0.897 0.141
O 0.469 0.897 0.641
O 0.969 0.103 0.859
O 0.531 0.103 0.359
O 0.091 0.974 0.314
O 0.409 0.974 0.814
O 0.909 0.026 0.686
O 0.591 0.026 0.186
O 0.200 0.145 0.926
O 0.300 0.145 0.426
O 0.800 0.855 0.074
O 0.700 0.855 0.574
O 0.660 0.343 0.945
O 0.840 0.343 0.445
O 0.340 0.657 0.055
O 0.160 0.657 0.555

Its raw total energy is -6.569 eV per atom.

7.
VASP calculation (GGA-PBE) on an optimized crystal structure of Cs4Si3O8.

abc: 9.537 11.336 13.681
angles: 101.54 100.70 114.11
Atoms (fractional coordinates):
Cs 0.607 0.269 0.751
Cs 0.393 0.731 0.249
Cs 0.959 0.728 0.243
Cs 0.041 0.272 0.757
Cs 0.382 0.900 0.829
Cs 0.618 0.100 0.171
Cs 0.933 0.901 0.829
Cs 0.067 0.099 0.171
Cs 0.610 0.924 0.591
Cs 0.390 0.076 0.409
Cs 0.375 0.258 0.994
Cs 0.625 0.742 0.006
Cs 0.926 0.545 0.641
Cs 0.074 0.455 0.359
Cs 0.430 0.557 0.657
Cs 0.570 0.443 0.343
Si 0.818 0.951 0.357
Si 0.182 0.049 0.643
Si 0.191 0.791 0.522
Si 0.809 0.209 0.478
Si 0.866 0.795 0.516
Si 0.134 0.205 0.484
Si 0.196 0.599 0.935
Si 0.804 0.401 0.065
Si 0.807 0.141 0.942
Si 0.193 0.859 0.058
Si 0.874 0.599 0.928
Si 0.126 0.401 0.072
O 0.983 0.948 0.606
O 0.017 0.052 0.394
O 0.786 0.825 0.410
O 0.214 0.175 0.590
O 0.746 0.891 0.233
O 0.254 0.109 0.767
O 0.264 0.959 0.588
O 0.736 0.041 0.412
O 0.750 0.218 0.581
O 0.250 0.782 0.419
O 0.239 0.716 0.600
O 0.761 0.284 0.400
O 0.987 0.733 0.484
O 0.013 0.267 0.516
O 0.730 0.698 0.556
O 0.270 0.302 0.444
O 0.997 0.543 0.887
O 0.003 0.457 0.113
O 0.780 0.499 0.994
O 0.220 0.501 0.006
O 0.278 0.594 0.844
O 0.722 0.406 0.156
O 0.728 0.246 0.982
O 0.272 0.754 0.018
O 0.750 0.087 0.816
O 0.250 0.913 0.184
O 0.766 0.027 0.001
O 0.234 0.973 0.999
O 0.990 0.753 0.014
O 0.010 0.247 0.986
O 0.749 0.598 0.832
O 0.251 0.402 0.168

Its raw total energy is -6.392 eV per atom.

8.
VASP calculation (GGA-PBE) on an optimized crystal structure of Cs2Si2O5.

abc: 8.787 10.218 18.751
angles: 57.27 90.00 90.00
Atoms (fractional coordinates):
Cs 0.133 0.180 0.410
Cs 0.099 0.735 0.418
Cs 0.874 0.242 0.916
Cs 0.599 0.265 0.082
Cs 0.901 0.265 0.582
Cs 0.879 0.682 0.908
Cs 0.401 0.735 0.918
Cs 0.121 0.318 0.092
Cs 0.374 0.758 0.584
Cs 0.367 0.180 0.910
Cs 0.867 0.820 0.590
Cs 0.633 0.820 0.090
Cs 0.621 0.682 0.408
Cs 0.379 0.318 0.592
Cs 0.626 0.242 0.416
Cs 0.126 0.758 0.084
Si 0.440 0.439 0.198
Si 0.940 0.561 0.302
Si 0.577 0.926 0.697
Si 0.686 0.425 0.693
Si 0.077 0.074 0.803
Si 0.701 0.062 0.804
Si 0.423 0.074 0.303
Si 0.799 0.062 0.304
Si 0.060 0.439 0.698
Si 0.560 0.561 0.802
Si 0.299 0.938 0.196
Si 0.314 0.575 0.307
Si 0.201 0.938 0.696
Si 0.186 0.575 0.807
Si 0.814 0.425 0.193
Si 0.923 0.926 0.197
O 0.124 0.507 0.605
O 0.856 0.945 0.274
O 0.644 0.945 0.774
O 0.144 0.055 0.726
O 0.874 0.538 0.099
O 0.376 0.507 0.105
O 0.129 0.566 0.296
O 0.646 0.240 0.728
O 0.890 0.062 0.798
O 0.629 0.434 0.204
O 0.854 0.240 0.228
O 0.854 0.044 0.105
O 0.354 0.760 0.272
O 0.616 0.742 0.729
O 0.624 0.493 0.895
O 0.146 0.956 0.895
O 0.871 0.434 0.704
O 0.610 0.062 0.298
O 0.371 0.566 0.796
O 0.126 0.462 0.901
O 0.390 0.938 0.702
O 0.609 0.453 0.764
O 0.354 0.956 0.395
O 0.384 0.258 0.271
O 0.374 0.462 0.401
O 0.356 0.055 0.226
O 0.391 0.547 0.236
O 0.360 0.995 0.103
O 0.891 0.453 0.264
O 0.110 0.938 0.202
O 0.876 0.493 0.395
O 0.146 0.760 0.772
O 0.640 0.005 0.897
O 0.109 0.547 0.736
O 0.626 0.538 0.599
O 0.646 0.044 0.605
O 0.884 0.742 0.229
O 0.116 0.258 0.771
O 0.140 0.995 0.603
O 0.860 0.005 0.397

Its raw total energy is -6.663 eV per atom.

9.
VASP calculation (GGA-PBE) on an optimized crystal structure of Cs4SiO4.

abc: 7.062 11.351 11.625
angles: 68.73 90.00 90.00
Atoms (fractional coordinates):
Cs 0.592 0.300 0.065
Cs 0.119 0.415 0.150
Cs 0.908 0.800 0.065
Cs 0.334 0.105 0.370
Cs 0.381 0.915 0.150
Cs 0.825 0.212 0.415
Cs 0.166 0.605 0.370
Cs 0.325 0.288 0.585
Cs 0.675 0.712 0.415
Cs 0.834 0.395 0.630
Cs 0.175 0.788 0.585
Cs 0.619 0.085 0.850
Cs 0.666 0.895 0.630
Cs 0.092 0.200 0.935
Cs 0.881 0.585 0.850
Cs 0.408 0.700 0.935
Si 0.872 0.010 0.240
Si 0.628 0.510 0.240
Si 0.372 0.490 0.760
Si 0.128 0.990 0.760
O 0.774 0.022 0.105
O 0.000 0.141 0.220
O 0.726 0.522 0.105
O 0.489 0.381 0.293
O 0.500 0.641 0.220
O 0.802 0.497 0.343
O 0.011 0.881 0.293
O 0.302 0.003 0.657
O 0.698 0.997 0.343
O 0.989 0.119 0.707
O 0.198 0.503 0.657
O 0.500 0.359 0.780
O 0.511 0.619 0.707
O 0.274 0.478 0.895
O 0.000 0.859 0.780
O 0.226 0.978 0.895

As for the energy above the most stable polymorph in this dataset: 0.000 eV per atom.

Number 1: calculated volume 514 Å³/cell. Number 2: calculated volume 287 Å³/cell. Number 3: calculated volume 377 Å³/cell. Number 4: calculated volume 289 Å³/cell. Number 5: calculated volume 2319 Å³/cell. Number 6: calculated volume 984 Å³/cell. Number 7: calculated volume 1262 Å³/cell. Number 8: calculated volume 1416 Å³/cell. Number 9: calculated volume 868 Å³/cell.